DFT (PBE) results for a relaxed structure of Lu10Ti6O27.

abc: 7.3153 7.3153 12.2802
angles: 107.56 107.56 58.53
Sites, in units of the cell vectors:
1 Lu 0.0000 0.0000 0.0000
2 Lu 0.0025 0.0025 0.5098
3 Lu 0.2389 0.7463 0.7392
4 Lu 0.2554 0.7694 0.2564
5 Lu 0.2578 0.2578 0.2747
6 Lu 0.2676 0.2676 0.7733
7 Lu 0.5329 0.5329 0.9954
8 Lu 0.7463 0.2389 0.7392
9 Lu 0.7694 0.2554 0.2564
10 Lu 0.7735 0.7735 0.2435
11 Ti 0.0197 0.4988 0.0108
12 Ti 0.4988 0.0197 0.0108
13 Ti 0.5096 0.9990 0.4966
14 Ti 0.5146 0.5146 0.5112
15 Ti 0.7696 0.7696 0.7586
16 Ti 0.9990 0.5096 0.4966
17 O 0.0506 0.5441 0.6670
18 O 0.0821 0.0821 0.1889
19 O 0.0872 0.0872 0.6956
20 O 0.0965 0.5249 0.1744
21 O 0.2315 0.6431 0.5470
22 O 0.2378 0.6832 0.0690
23 O 0.2564 0.2564 0.4547
24 O 0.2765 0.2765 0.9560
25 O 0.3178 0.8850 0.9451
26 O 0.3646 0.8464 0.4830
27 O 0.4504 0.4504 0.8157
28 O 0.4604 0.4604 0.3447
29 O 0.4881 0.9029 0.3178
30 O 0.5249 0.0965 0.1744
31 O 0.5441 0.0506 0.6670
32 O 0.6000 0.9621 0.8706
33 O 0.6093 0.6093 0.6828
34 O 0.6431 0.2315 0.5470
35 O 0.6832 0.2378 0.0690
36 O 0.7197 0.7197 0.0533
37 O 0.8212 0.8212 0.4979
38 O 0.8464 0.3646 0.4830
39 O 0.8850 0.3178 0.9451
40 O 0.9029 0.4881 0.3178
41 O 0.9332 0.9332 0.8012
42 O 0.9488 0.9488 0.3218
43 O 0.9621 0.6000 0.8706

For the MP2020-corrected energy, the calculation gives -389.96 eV/cell. Its crystal system is monoclinic. The space-group type is No. 8. The calculation puts the total energy at -371.415 eV for the cell shown. For the formation energy, the calculation gives -3.809 eV/atom. The value obtained for the total magnetic moment is 0.0 Bohr magnetons per cell.